Record 1
Mn6OF11 after structural relaxation, computed with PBE+U.

Output
* size of the total moment: 29.0 μB/cell
* energy of formation from the pure elements: -51.01 eV per formula unit

a b c (Å): 11.138 11.138 3.304
angles (deg): 90.00 90.00 143.84
Positions (direct):
Mn 0.666 0.334 0.000
Mn 0.522 0.522 0.500
F 0.639 0.972 0.000
F 0.732 0.268 0.500
F 0.066 0.938 0.500
Mn 0.984 0.984 0.000
F 0.597 0.394 0.500
F 0.028 0.361 0.000
Mn 0.167 0.834 0.500
Mn 0.834 0.167 0.500
F 0.938 0.066 0.500
O 0.694 0.694 0.000
F 0.268 0.732 0.500
F 0.361 0.028 0.000
F 0.303 0.303 0.000
F 0.972 0.639 0.000
Mn 0.334 0.666 0.000
F 0.394 0.597 0.500

=====

Record 2
Mn3O4F2 after structural relaxation, computed with PBE+U.

Output
* size of the total moment: 22.0 μB/cell
* energy of formation from the pure elements: -19.00 eV per formula unit

a b c (Å): 4.633 5.563 7.610
angles (deg): 86.28 88.20 88.17
Positions (direct):
F 0.806 0.032 0.767
O 0.313 0.130 0.566
F 0.189 0.640 0.543
O 0.302 0.788 0.897
Mn 0.496 0.832 0.669
Mn 0.007 0.002 0.005
O 0.197 0.294 0.899
Mn 0.505 0.496 0.988
Mn 0.953 0.662 0.328
Mn 0.526 0.171 0.344
F 0.202 0.960 0.248
O 0.699 0.867 0.440
Mn 0.014 0.334 0.670
O 0.800 0.705 0.105
O 0.690 0.206 0.104
F 0.297 0.474 0.226
O 0.692 0.532 0.766
O 0.811 0.374 0.435

=====

Record 3
Mn6OF11 after structural relaxation, computed with PBE+U.

Output
* size of the total moment: 58.0 μB/cell
* energy of formation from the pure elements: -49.94 eV per formula unit

a b c (Å): 5.270 5.270 15.623
angles (deg): 88.53 88.53 89.14
Positions (direct):
F 0.282 0.712 0.746
F 0.785 0.227 0.580
F 0.771 0.231 0.914
Mn 0.518 0.518 0.656
Mn 0.003 0.498 0.833
F 0.192 0.760 0.254
F 0.828 0.828 0.409
F 0.290 0.290 0.585
F 0.695 0.695 0.244
F 0.212 0.212 0.752
Mn 0.500 0.500 0.001
F 0.231 0.771 0.914
Mn 0.997 0.997 0.665
F 0.775 0.775 0.753
F 0.715 0.315 0.421
Mn 0.998 0.488 0.170
F 0.712 0.282 0.746
F 0.227 0.785 0.580
Mn 0.994 0.525 0.501
F 0.760 0.192 0.254
F 0.315 0.715 0.421
F 0.272 0.272 0.916
O 0.721 0.721 0.580
Mn 0.525 0.994 0.501
Mn 0.040 0.040 0.329
F 0.732 0.732 0.917
F 0.732 0.267 0.087
F 0.267 0.732 0.087
Mn 0.498 0.003 0.833
Mn 0.999 0.999 0.001
O 0.246 0.246 0.257
F 0.233 0.233 0.083
Mn 0.488 0.998 0.170
F 0.209 0.209 0.427
Mn 0.474 0.474 0.327
F 0.767 0.767 0.084

=====

Record 4
Mn12O5F19 after structural relaxation, computed with PBE+U.

Output
* size of the total moment: 55.0 μB/cell
* energy of formation from the pure elements: -95.77 eV per formula unit

a b c (Å): 4.891 5.850 15.948
angles (deg): 89.77 89.79 87.73
Positions (direct):
F 0.718 0.376 0.981
O 0.280 0.601 0.028
Mn 0.489 0.656 0.923
F 0.295 0.373 0.853
Mn 0.985 0.850 0.752
Mn 0.021 0.189 0.242
O 0.779 0.120 0.801
F 0.237 0.105 0.359
Mn 0.471 0.354 0.086
Mn 0.493 0.655 0.250
F 0.756 0.120 0.133
F 0.729 0.614 0.471
Mn 0.510 0.321 0.421
Mn 0.985 0.855 0.418
Mn 0.987 0.168 0.910
F 0.230 0.881 0.859
F 0.764 0.891 0.302
F 0.264 0.610 0.365
F 0.271 0.609 0.703
F 0.772 0.885 0.970
F 0.767 0.871 0.642
Mn 0.973 0.165 0.582
Mn 0.531 0.328 0.746
F 0.741 0.391 0.310
F 0.752 0.617 0.143
O 0.292 0.403 0.192
Mn 0.012 0.825 0.080
O 0.783 0.114 0.479
F 0.732 0.616 0.815
F 0.230 0.895 0.533
Mn 0.505 0.647 0.586
F 0.223 0.106 0.021
O 0.716 0.373 0.640
F 0.260 0.396 0.527
F 0.233 0.902 0.192
F 0.216 0.118 0.685

=====

| no. | energy above the lowest structure with this stoichiometry (meV per atom) |
| --- | --- |
| 1 | 16 |
| 2 | 36 |
| 3 | 76 |
| 4 | 2 |